1.
UFeSi2 after structural relaxation, computed with PBE-GGA.

Lattice parameters (Å, degrees): 8.6090 8.6090 3.9095 90.00 90.00 154.34
Closest atoms and distances in Å follow each position.
Positions (direct):
U 0.3896 0.6104 0.7500  4 Fe 2.91, 10 Si 3.00-3.13
Si 0.9627 0.0373 0.2500  1 Fe 2.23, 2 Si 2.32
Si 0.7502 0.2498 0.7500  4 Fe 2.34-2.37
Fe 0.1703 0.8297 0.7500  5 Si 2.23-2.37
Si 0.2498 0.7502 0.2500  4 Fe 2.34-2.37
Si 0.0373 0.9627 0.7500  1 Fe 2.23, 2 Si 2.32
U 0.6104 0.3896 0.2500  4 Fe 2.91, 10 Si 3.00-3.13
Fe 0.8297 0.1703 0.2500  5 Si 2.23-2.37

Properties
- space-group type = No. 63
- calculated density (g/cm3) = 9.26
- electronic total energy (eV per atom) = -8.10
- energy of formation (eV/atom) = -0.407



2.
Y2O3 after structural relaxation, computed with PBE-GGA.

Lattice parameters (Å, degrees): 6.0298 3.3437 13.0339 90.00 90.00 90.00
Closest atoms and distances in Å follow each position.
Positions (direct):
Y 0.2586 0.2500 0.9487  6 O 2.24-2.40
O 0.1284 0.2500 0.7806  5 Y 2.29-2.53
O 0.6284 0.2500 0.7194  5 Y 2.29-2.53
O 0.3716 0.7500 0.2806  5 Y 2.29-2.53
Y 0.3166 0.7500 0.6983  7 O 2.29-2.53
Y 0.7586 0.2500 0.5513  6 O 2.24-2.40
O 0.1387 0.7500 0.0633  5 Y 2.36-2.44, 1 O 2.60
Y 0.2414 0.7500 0.4487  6 O 2.24-2.40
O 0.8613 0.2500 0.9367  5 Y 2.36-2.44, 1 O 2.60
O 0.3613 0.2500 0.5633  5 Y 2.36-2.44, 1 O 2.60
Y 0.1834 0.2500 0.1983  7 O 2.29-2.53
O 0.5272 0.2500 0.1093  3 Y 2.24-2.38
Y 0.8166 0.7500 0.8017  7 O 2.29-2.53
Y 0.6834 0.2500 0.3017  7 O 2.29-2.53
O 0.6387 0.7500 0.4367  5 Y 2.36-2.44, 1 O 2.60
O 0.8716 0.7500 0.2194  5 Y 2.29-2.53
O 0.9728 0.7500 0.6093  3 Y 2.24-2.38
O 0.0272 0.2500 0.3907  3 Y 2.24-2.38
O 0.4728 0.7500 0.8907  3 Y 2.24-2.38
Y 0.7414 0.7500 0.0513  6 O 2.24-2.40

Properties
- space-group type = No. 62
- calculated density (g/cm3) = 5.71
- electronic total energy (eV per atom) = -8.99
- energy of formation (eV/atom) = -3.848



3.
KMg3O4 after structural relaxation, computed with PBE-GGA.

Lattice parameters (Å, degrees): 4.5402 4.5402 4.5402 90.00 90.00 90.00
Closest atoms and distances in Å follow each position.
Positions (direct):
Mg 0.5000 0.0000 0.5000  6 O 2.27
O 0.5000 0.0000 0.0000  2 K 2.27, 4 Mg 2.27
O 0.0000 0.5000 0.0000  4 Mg 2.27, 2 K 2.27
O 0.0000 0.0000 0.5000  4 Mg 2.27, 2 K 2.27
Mg 0.0000 0.5000 0.5000  6 O 2.27
K 0.0000 0.0000 0.0000  6 O 2.27
O 0.5000 0.5000 0.5000  6 Mg 2.27
Mg 0.5000 0.5000 0.0000  6 O 2.27

Properties
- space-group type = No. 221
- calculated density (g/cm3) = 3.12
- electronic total energy (eV per atom) = -5.01
- energy of formation (eV/atom) = -2.144



4.
CaTi4S8 after structural relaxation, computed with PBE-GGA.

Lattice parameters (Å, degrees): 7.1321 7.1321 7.1321 61.18 61.18 61.18
Closest atoms and distances in Å follow each position.
Positions (direct):
Ti 0.0000 0.5000 0.5000  6 S 2.47-2.49
S 0.2620 0.2620 0.7269  3 Ti 2.42-2.49, 1 Ca 2.67
Ti 0.5000 0.5000 0.0000  6 S 2.47-2.49
Ca 0.0000 0.0000 0.0000  6 S 2.67
S 0.7426 0.7426 0.7426  3 Ti 2.47
S 0.2620 0.7269 0.2620  3 Ti 2.42-2.49, 1 Ca 2.67
Ti 0.5000 0.0000 0.5000  6 S 2.47-2.49
S 0.2574 0.2574 0.2574  3 Ti 2.47
S 0.7380 0.7380 0.2731  3 Ti 2.42-2.49, 1 Ca 2.67
S 0.7380 0.2731 0.7380  3 Ti 2.42-2.49, 1 Ca 2.67
S 0.7269 0.2620 0.2620  3 Ti 2.42-2.49, 1 Ca 2.67
S 0.2731 0.7380 0.7380  3 Ti 2.42-2.49, 1 Ca 2.67
Ti 0.5000 0.5000 0.5000  6 S 2.42

Properties
- space-group type = No. 166
- calculated density (g/cm3) = 3.08
- electronic total energy (eV per atom) = -6.55
- energy relative to the lowest polymorph listed for this composition (meV/atom) = 65
- energy of formation (eV/atom) = -1.726



5.
CuSbP2O8 after structural relaxation, computed with PBE-GGA.

Lattice parameters (Å, degrees): 6.2327 5.0177 10.0009 87.16 90.00 90.00
Closest atoms and distances in Å follow each position.
Positions (direct):
O 0.7500 0.6850 0.9492  1 P 1.56
Sb 0.2500 0.5375 0.2208  6 O 2.08-2.16
O 0.7500 0.8638 0.4457  1 P 1.51
O 0.9495 0.7219 0.1694  1 P 1.58
P 0.2500 0.4096 0.8995  4 O 1.52-1.58
O 0.2500 0.7806 0.3856  1 P 1.55
O 0.2500 0.7129 0.8851  1 P 1.52
P 0.2500 0.0844 0.4072  4 O 1.51-1.60
O 0.0505 0.2781 0.8306  1 P 1.58
O 0.2500 0.3150 0.0508  1 P 1.56
O 0.9404 0.7625 0.6714  1 P 1.60
Sb 0.7500 0.4625 0.7792  6 O 2.08-2.16
O 0.4495 0.2781 0.8306  1 P 1.58
O 0.7500 0.2194 0.6144  1 P 1.55
O 0.4404 0.2375 0.3286  1 P 1.60
O 0.2500 0.1362 0.5543  1 P 1.51
P 0.7500 0.9156 0.5928  4 O 1.51-1.60
Cu 0.7500 0.0877 0.2849  4 O 1.92-2.12
O 0.7500 0.2871 0.1149  1 P 1.52
O 0.0596 0.2375 0.3286  1 P 1.60
O 0.5596 0.7625 0.6714  1 P 1.60
Cu 0.2500 0.9123 0.7151  4 O 1.92-2.12
P 0.7500 0.5904 0.1005  4 O 1.52-1.58
O 0.5505 0.7219 0.1694  1 P 1.58

Properties
- space-group type = No. 11
- calculated density (g/cm3) = 3.99
- electronic total energy (eV per atom) = -6.54
- energy of formation (eV/atom) = -2.107



6.
YMgVS4 after structural relaxation, computed with PBE-GGA.

Lattice parameters (Å, degrees): 7.6571 7.5732 7.5676 59.55 59.62 59.61
Closest atoms and distances in Å follow each position.
Positions (direct):
S 0.7116 0.7545 0.7543  2 V 2.50-2.51, 1 Mg 2.52, 1 Y 2.73
V 0.5000 0.0000 0.5000  6 S 2.47-2.50
Mg 0.1229 0.1270 0.1271  4 S 2.44-2.52
S 0.7312 0.2689 0.7685  1 Mg 2.44, 1 V 2.47, 2 Y 2.69
S 0.2687 0.2313 0.7312  1 Mg 2.44, 1 V 2.47, 2 Y 2.69
S 0.7313 0.7687 0.2688  1 Mg 2.44, 1 V 2.47, 2 Y 2.69
S 0.2884 0.2455 0.2457  2 V 2.50-2.51, 1 Mg 2.52, 1 Y 2.73
S 0.2797 0.7544 0.7544  2 V 2.50, 1 Mg 2.52, 1 Y 2.73
Y 0.0000 0.5000 0.5000  6 S 2.69-2.73
Mg 0.8771 0.8730 0.8729  4 S 2.44-2.52
Y 0.5000 0.5000 0.5000  6 S 2.69-2.73
V 0.5000 0.5000 0.0000  6 S 2.47-2.51
S 0.7203 0.2456 0.2456  2 V 2.50, 1 Mg 2.52, 1 Y 2.73
S 0.2688 0.7311 0.2315  1 Mg 2.44, 1 V 2.47, 2 Y 2.69

Properties
- space-group type = No. 74
- calculated density (g/cm3) = 3.16
- electronic total energy (eV per atom) = -6.20
- energy of formation (eV/atom) = -1.675



7.
CuS4BrN4 after structural relaxation, computed with PBE-GGA.

Lattice parameters (Å, degrees): 12.3991 7.1746 9.3955 73.13 90.00 90.00
Closest atoms and distances in Å follow each position.
Positions (direct):
Br 0.3382 0.9539 0.6142  2 Cu 2.43-2.45
S 0.1069 0.3754 0.2413  2 N 1.62-1.66
S 0.3931 0.8754 0.2413  2 N 1.62-1.66
Cu 0.8321 0.8719 0.4199  2 N 2.03-2.04
S 0.6069 0.1246 0.7587  2 N 1.62-1.66
N 0.4456 0.4713 0.7212  2 S 1.65
S 0.3830 0.6902 0.0224  2 N 1.63
Cu 0.6679 0.3719 0.4199  2 N 2.03-2.04
N 0.9873 0.2285 0.0040  2 S 1.62-1.63
N 0.6221 0.3401 0.6341  2 S 1.65-1.66
S 0.8830 0.8098 0.9776  2 N 1.63
S 0.0767 0.7608 0.8483  2 N 1.62-1.65
N 0.0544 0.9713 0.7212  2 S 1.65
Cu 0.3321 0.6281 0.5801  2 N 2.03-2.04
S 0.9251 0.0222 0.6893  2 N 1.65
N 0.8779 0.8401 0.6341  2 S 1.65-1.66
S 0.5767 0.7392 0.1517  2 N 1.62-1.65
N 0.0127 0.7715 0.9960  2 S 1.62-1.63
N 0.9456 0.0287 0.2788  2 S 1.65
N 0.3779 0.6599 0.3659  2 S 1.65-1.66
N 0.3352 0.8573 0.0913  2 S 1.62-1.63
Br 0.1618 0.4539 0.6142  2 Cu 2.43-2.45
S 0.4251 0.4778 0.3107  2 N 1.65
S 0.4233 0.2608 0.8483  2 N 1.62-1.65
S 0.1170 0.1902 0.0224  2 N 1.63
S 0.9233 0.2392 0.1517  2 N 1.62-1.65
N 0.6648 0.1427 0.9087  2 S 1.62-1.63
S 0.0749 0.9778 0.3107  2 N 1.65
Br 0.6618 0.0461 0.3858  2 Cu 2.43-2.45
Cu 0.1679 0.1281 0.5801  2 N 2.03-2.04
S 0.8931 0.6246 0.7587  2 N 1.62-1.66
N 0.5544 0.5287 0.2788  2 S 1.65
S 0.6170 0.3098 0.9776  2 N 1.63
N 0.1221 0.1599 0.3659  2 S 1.65-1.66
S 0.5749 0.5222 0.6893  2 N 1.65
Br 0.8382 0.5461 0.3858  2 Cu 2.43-2.45
N 0.1648 0.3573 0.0913  2 S 1.62-1.63
N 0.8352 0.6427 0.9087  2 S 1.62-1.63
N 0.5127 0.7285 0.0040  2 S 1.62-1.63
N 0.4873 0.2715 0.9960  2 S 1.62-1.63

Properties
- space-group type = No. 14
- calculated density (g/cm3) = 2.72
- electronic total energy (eV per atom) = -5.20
- energy of formation (eV/atom) = 0.217



8.
NaPrHfTiO6 after structural relaxation, computed with PBE-GGA.

Lattice parameters (Å, degrees): 5.6529 5.6529 5.6529 60.00 60.00 60.00
Closest atoms and distances in Å follow each position.
Positions (direct):
O 0.7439 0.7439 0.2561  1 Ti 1.95, 1 Hf 2.05
Ti 0.5000 0.5000 0.5000  6 O 1.95
Pr 0.7500 0.7500 0.7500  12 O 2.83
O 0.2561 0.7439 0.7439  1 Ti 1.95, 1 Hf 2.05
Na 0.2500 0.2500 0.2500  12 O 2.83
O 0.2561 0.2561 0.7439  1 Ti 1.95, 1 Hf 2.05
O 0.7439 0.2561 0.7439  1 Ti 1.95, 1 Hf 2.05
Hf 0.0000 0.0000 0.0000  6 O 2.05
O 0.7439 0.2561 0.2561  1 Ti 1.95, 1 Hf 2.05
O 0.2561 0.7439 0.2561  1 Ti 1.95, 1 Hf 2.05

Properties
- space-group type = No. 216
- calculated density (g/cm3) = 6.32
- electronic total energy (eV per atom) = -8.39
- energy of formation (eV/atom) = -3.442